{"formula": "Na", "functional": "r2SCAN", "state": "relaxed", "magnetic_moment_mub_per_cell": 0.00, "polymorph_energy_mev_per_atom": 16, "formation_energy_ev_per_atom": 0.016, "volume_a3_per_atom": 37.3, "e_tot_ev_per_cell": -3.5, "lattice": [[-2.104, 2.104, 2.104], [2.104, -2.104, 2.104], [2.104, 2.104, -2.104]], "species": ["Na"], "fractional_positions": [[0.000, 0.000, 0.000]]}

***

{"formula": "Na", "functional": "r2SCAN", "state": "relaxed", "magnetic_moment_mub_per_cell": 0.00, "polymorph_energy_mev_per_atom": 19, "formation_energy_ev_per_atom": 0.019, "volume_a3_per_atom": 37.9, "e_tot_ev_per_cell": -102.8, "lattice": [[-6.502, 6.502, 6.502], [6.502, -6.502, 6.502], [6.502, 6.502, -6.502]], "species": ["Na", "Na", "Na", "Na", "Na", "Na", "Na", "Na", "Na", "Na", "Na", "Na", "Na", "Na", "Na", "Na", "Na", "Na", "Na", "Na", "Na", "Na", "Na", "Na", "Na", "Na", "Na", "Na", "Na"], "fractional_positions": [[0.000, 0.000, 0.000], [0.000, 0.000, 0.636], [0.000, 0.190, 0.375], [0.000, 0.375, 0.190], [0.000, 0.406, 0.682], [0.000, 0.636, 0.000], [0.000, 0.682, 0.406], [0.185, 0.810, 0.810], [0.190, 0.000, 0.375], [0.190, 0.375, 0.000], [0.277, 0.594, 0.594], [0.318, 0.318, 0.723], [0.318, 0.723, 0.318], [0.364, 0.364, 0.364], [0.375, 0.000, 0.190], [0.375, 0.190, 0.000], [0.406, 0.000, 0.682], [0.406, 0.682, 0.000], [0.594, 0.277, 0.594], [0.594, 0.594, 0.277], [0.625, 0.625, 0.815], [0.625, 0.815, 0.625], [0.636, 0.000, 0.000], [0.682, 0.000, 0.406], [0.682, 0.406, 0.000], [0.723, 0.318, 0.318], [0.810, 0.185, 0.810], [0.810, 0.810, 0.185], [0.815, 0.625, 0.625]]}

***

{"formula": "Na", "functional": "r2SCAN", "state": "relaxed", "magnetic_moment_mub_per_cell": 0.49, "polymorph_energy_mev_per_atom": 15, "formation_energy_ev_per_atom": 0.015, "volume_a3_per_atom": 37.6, "e_tot_ev_per_cell": -28.4, "lattice": [[-4.221, 4.221, 4.221], [4.221, -4.221, 4.221], [4.221, 4.221, -4.221]], "species": ["Na", "Na", "Na", "Na", "Na", "Na", "Na", "Na"], "fractional_positions": [[0.000, 0.496, 0.500], [0.000, 0.996, 0.500], [0.004, 0.004, 0.004], [0.496, 0.500, 0.000], [0.500, 0.000, 0.496], [0.500, 0.000, 0.996], [0.504, 0.504, 0.504], [0.996, 0.500, 0.000]]}

***

{"formula": "Na", "functional": "r2SCAN", "state": "relaxed", "magnetic_moment_mub_per_cell": 0.53, "polymorph_energy_mev_per_atom": 21, "formation_energy_ev_per_atom": 0.021, "volume_a3_per_atom": 37.9, "e_tot_ev_per_cell": -28.3, "lattice": [[-4.233, 4.233, 4.233], [4.233, -4.233, 4.233], [4.233, 4.233, -4.233]], "species": ["Na", "Na", "Na", "Na", "Na", "Na", "Na", "Na"], "fractional_positions": [[0.000, 0.451, 0.500], [0.000, 0.951, 0.500], [0.049, 0.049, 0.049], [0.451, 0.500, 0.000], [0.500, 0.000, 0.451], [0.500, 0.000, 0.951], [0.549, 0.549, 0.549], [0.951, 0.500, 0.000]]}

***

{"formula": "Na", "functional": "r2SCAN", "state": "relaxed", "magnetic_moment_mub_per_cell": 0.00, "polymorph_energy_mev_per_atom": 24, "formation_energy_ev_per_atom": 0.024, "volume_a3_per_atom": 37.5, "e_tot_ev_per_cell": -28.3, "lattice": [[6.697, 0.000, 0.000], [0.000, 6.697, 0.000], [0.000, 0.000, 6.697]], "species": ["Na", "Na", "Na", "Na", "Na", "Na", "Na", "Na"], "fractional_positions": [[0.000, 0.000, 0.000], [0.000, 0.250, 0.500], [0.000, 0.750, 0.500], [0.250, 0.500, 0.000], [0.500, 0.000, 0.250], [0.500, 0.000, 0.750], [0.500, 0.500, 0.500], [0.750, 0.500, 0.000]]}

***

{"formula": "Na", "functional": "r2SCAN", "state": "relaxed", "magnetic_moment_mub_per_cell": 0.00, "polymorph_energy_mev_per_atom": 5, "formation_energy_ev_per_atom": 0.005, "volume_a3_per_atom": 37.1, "e_tot_ev_per_cell": -10.7, "lattice": [[3.197, -1.857, 0.000], [3.197, 1.857, 0.000], [-2.174, 0.000, 9.365]], "species": ["Na", "Na", "Na"], "fractional_positions": [[0.000, 0.000, 0.000], [0.222, 0.222, 0.667], [0.778, 0.778, 0.333]]}

***

{"formula": "Na", "functional": "r2SCAN", "state": "relaxed", "magnetic_moment_mub_per_cell": 0.00, "polymorph_energy_mev_per_atom": 9, "formation_energy_ev_per_atom": 0.009, "volume_a3_per_atom": 37.5, "e_tot_ev_per_cell": -3.6, "lattice": [[-1.849, 1.849, 2.745], [1.849, -1.849, 2.745], [1.849, 1.849, -2.745]], "species": ["Na"], "fractional_positions": [[0.000, 0.000, 0.000]]}

***

{"formula": "Na", "functional": "r2SCAN", "state": "relaxed", "magnetic_moment_mub_per_cell": 0.00, "polymorph_energy_mev_per_atom": 0, "formation_energy_ev_per_atom": 0.000, "volume_a3_per_atom": 36.9, "e_tot_ev_per_cell": -7.1, "lattice": [[3.689, 0.000, 0.000], [-1.844, 3.195, 0.000], [0.000, 0.000, 6.269]], "species": ["Na", "Na"], "fractional_positions": [[0.333, 0.667, 0.250], [0.667, 0.333, 0.750]]}

***

{"formula": "Na", "functional": "r2SCAN", "state": "relaxed", "magnetic_moment_mub_per_cell": 0.00, "polymorph_energy_mev_per_atom": 11, "formation_energy_ev_per_atom": 0.011, "volume_a3_per_atom": 37.7, "e_tot_ev_per_cell": -14.2, "lattice": [[1.862, -3.242, 0.000], [1.862, 3.242, 0.000], [0.000, 0.000, 12.493]], "species": ["Na", "Na", "Na", "Na"], "fractional_positions": [[0.000, 0.000, 0.000], [0.000, 0.000, 0.500], [0.328, 0.672, 0.750], [0.672, 0.328, 0.250]]}

***

{"formula": "Na", "functional": "r2SCAN", "state": "relaxed", "magnetic_moment_mub_per_cell": 0.00, "polymorph_energy_mev_per_atom": 7, "formation_energy_ev_per_atom": 0.007, "volume_a3_per_atom": 37.6, "e_tot_ev_per_cell": -28.5, "lattice": [[6.581, 0.000, 0.000], [0.000, 6.172, 0.000], [0.000, 0.000, 7.411]], "species": ["Na", "Na", "Na", "Na", "Na", "Na", "Na", "Na"], "fractional_positions": [[0.091, 0.250, 0.125], [0.095, 0.250, 0.625], [0.405, 0.750, 0.125], [0.409, 0.750, 0.625], [0.591, 0.250, 0.375], [0.595, 0.250, 0.875], [0.905, 0.750, 0.375], [0.909, 0.750, 0.875]]}

***

{"formula": "Na", "functional": "r2SCAN", "state": "relaxed", "magnetic_moment_mub_per_cell": 0.00, "polymorph_energy_mev_per_atom": 26, "formation_energy_ev_per_atom": 0.026, "volume_a3_per_atom": 38.1, "e_tot_ev_per_cell": -70.8, "lattice": [[9.137, 0.000, 0.000], [0.000, 9.137, 0.000], [0.000, 0.000, 9.137]], "species": ["Na", "Na", "Na", "Na", "Na", "Na", "Na", "Na", "Na", "Na", "Na", "Na", "Na", "Na", "Na", "Na", "Na", "Na", "Na", "Na"], "fractional_positions": [[0.048, 0.125, 0.798], [0.063, 0.937, 0.437], [0.125, 0.798, 0.048], [0.187, 0.187, 0.187], [0.202, 0.548, 0.375], [0.298, 0.452, 0.875], [0.313, 0.813, 0.687], [0.375, 0.202, 0.548], [0.437, 0.063, 0.937], [0.452, 0.875, 0.298], [0.548, 0.375, 0.202], [0.563, 0.563, 0.563], [0.625, 0.702, 0.952], [0.687, 0.313, 0.813], [0.702, 0.952, 0.625], [0.798, 0.048, 0.125], [0.813, 0.687, 0.313], [0.875, 0.298, 0.452], [0.937, 0.437, 0.063], [0.952, 0.625, 0.702]]}

***

{"formula": "Na5NbO5", "functional": "r2SCAN", "state": "relaxed", "magnetic_moment_mub_per_cell": 0.00, "formation_energy_ev_per_atom": -2.125, "volume_a3_per_atom": 13.9, "e_tot_ev_per_cell": -191.6, "lattice": [[3.135, -5.098, 0.000], [3.135, 5.098, 0.000], [-2.860, 0.000, 9.580]], "species": ["Na", "Na", "Na", "Na", "Na", "Na", "Na", "Na", "Na", "Na", "Nb", "Nb", "O", "O", "O", "O", "O", "O", "O", "O", "O", "O"], "fractional_positions": [[0.056, 0.285, 0.550], [0.169, 0.831, 0.750], [0.177, 0.496, 0.922], [0.285, 0.056, 0.050], [0.496, 0.177, 0.422], [0.504, 0.823, 0.578], [0.715, 0.944, 0.950], [0.823, 0.504, 0.078], [0.831, 0.169, 0.250], [0.944, 0.715, 0.450], [0.408, 0.592, 0.250], [0.592, 0.408, 0.750], [0.093, 0.308, 0.103], [0.195, 0.537, 0.383], [0.308, 0.093, 0.603], [0.404, 0.596, 0.750], [0.463, 0.805, 0.117], [0.537, 0.195, 0.883], [0.596, 0.404, 0.250], [0.692, 0.907, 0.397], [0.805, 0.463, 0.617], [0.907, 0.692, 0.897]]}

***

{"formula": "NaNb13O33", "functional": "r2SCAN", "state": "relaxed", "magnetic_moment_mub_per_cell": 0.00, "formation_energy_ev_per_atom": -2.721, "volume_a3_per_atom": 14.5, "e_tot_ev_per_cell": -650.1, "lattice": [[11.369, -1.926, 0.000], [11.369, 1.926, 0.000], [-0.424, 0.000, 15.571]], "species": ["Na", "Nb", "Nb", "Nb", "Nb", "Nb", "Nb", "Nb", "Nb", "Nb", "Nb", "Nb", "Nb", "Nb", "O", "O", "O", "O", "O", "O", "O", "O", "O", "O", "O", "O", "O", "O", "O", "O", "O", "O", "O", "O", "O", "O", "O", "O", "O", "O", "O", "O", "O", "O", "O", "O", "O"], "fractional_positions": [[0.000, 0.000, 0.000], [0.208, 0.208, 0.126], [0.275, 0.275, 0.363], [0.344, 0.344, 0.595], [0.363, 0.363, 0.031], [0.413, 0.413, 0.824], [0.430, 0.430, 0.271], [0.500, 0.500, 0.500], [0.570, 0.570, 0.729], [0.587, 0.587, 0.176], [0.637, 0.637, 0.969], [0.656, 0.656, 0.405], [0.725, 0.725, 0.637], [0.792, 0.792, 0.874], [0.000, 0.000, 0.500], [0.071, 0.071, 0.747], [0.110, 0.110, 0.163], [0.153, 0.153, 0.997], [0.180, 0.180, 0.400], [0.233, 0.233, 0.236], [0.249, 0.249, 0.637], [0.277, 0.277, 0.069], [0.305, 0.305, 0.474], [0.319, 0.319, 0.889], [0.347, 0.347, 0.305], [0.371, 0.371, 0.713], [0.401, 0.401, 0.134], [0.418, 0.418, 0.549], [0.432, 0.432, 0.955], [0.465, 0.465, 0.380], [0.488, 0.488, 0.791], [0.512, 0.512, 0.209], [0.535, 0.535, 0.620], [0.568, 0.568, 0.045], [0.582, 0.582, 0.451], [0.599, 0.599, 0.866], [0.629, 0.629, 0.287], [0.653, 0.653, 0.695], [0.681, 0.681, 0.111], [0.695, 0.695, 0.526], [0.723, 0.723, 0.931], [0.751, 0.751, 0.363], [0.767, 0.767, 0.764], [0.820, 0.820, 0.600], [0.847, 0.847, 0.003], [0.890, 0.890, 0.837], [0.929, 0.929, 0.253]]}

***

{"formula": "NaNb2O4", "functional": "r2SCAN", "state": "relaxed", "magnetic_moment_mub_per_cell": 1.17, "formation_energy_ev_per_atom": -2.475, "volume_a3_per_atom": 13.1, "e_tot_ev_per_cell": -377.0, "lattice": [[5.140, 0.000, 0.000], [0.000, 12.031, 0.000], [0.000, 0.000, 5.925]], "species": ["Na", "Na", "Na", "Na", "Nb", "Nb", "Nb", "Nb", "Nb", "Nb", "Nb", "Nb", "O", "O", "O", "O", "O", "O", "O", "O", "O", "O", "O", "O", "O", "O", "O", "O"], "fractional_positions": [[0.188, 0.004, 0.250], [0.188, 0.496, 0.750], [0.812, 0.504, 0.250], [0.812, 0.996, 0.750], [0.162, 0.747, 0.250], [0.162, 0.753, 0.750], [0.345, 0.250, 0.000], [0.345, 0.250, 0.500], [0.655, 0.750, 0.000], [0.655, 0.750, 0.500], [0.838, 0.247, 0.250], [0.838, 0.253, 0.750], [0.010, 0.146, 0.503], [0.010, 0.146, 0.997], [0.010, 0.354, 0.003], [0.010, 0.354, 0.497], [0.488, 0.648, 0.750], [0.488, 0.852, 0.250], [0.496, 0.646, 0.250], [0.496, 0.854, 0.750], [0.504, 0.146, 0.250], [0.504, 0.354, 0.750], [0.512, 0.148, 0.750], [0.512, 0.352, 0.250], [0.990, 0.646, 0.503], [0.990, 0.646, 0.997], [0.990, 0.854, 0.003], [0.990, 0.854, 0.497]]}

***

{"formula": "Na3NbO4", "functional": "r2SCAN", "state": "relaxed", "magnetic_moment_mub_per_cell": 0.00, "formation_energy_ev_per_atom": -2.395, "volume_a3_per_atom": 12.1, "e_tot_ev_per_cell": -313.9, "lattice": [[5.549, -6.484, 0.000], [5.549, 6.484, 0.000], [-1.888, 0.000, 5.393]], "species": ["Na", "Na", "Na", "Na", "Na", "Na", "Na", "Na", "Na", "Na", "Na", "Na", "Nb", "Nb", "Nb", "Nb", "O", "O", "O", "O", "O", "O", "O", "O", "O", "O", "O", "O", "O", "O", "O", "O"], "fractional_positions": [[0.000, 0.000, 0.000], [0.000, 0.500, 0.500], [0.124, 0.876, 0.500], [0.126, 0.381, 0.980], [0.240, 0.760, 0.000], [0.381, 0.126, 0.980], [0.500, 0.000, 0.500], [0.500, 0.500, 0.000], [0.619, 0.874, 0.020], [0.760, 0.240, 0.000], [0.874, 0.619, 0.020], [0.876, 0.124, 0.500], [0.238, 0.238, 0.471], [0.366, 0.634, 0.500], [0.634, 0.366, 0.500], [0.762, 0.762, 0.529], [0.034, 0.253, 0.267], [0.152, 0.152, 0.711], [0.163, 0.625, 0.273], [0.253, 0.034, 0.267], [0.267, 0.492, 0.694], [0.375, 0.837, 0.727], [0.387, 0.387, 0.299], [0.492, 0.267, 0.694], [0.508, 0.733, 0.306], [0.613, 0.613, 0.701], [0.625, 0.163, 0.273], [0.733, 0.508, 0.306], [0.747, 0.966, 0.733], [0.837, 0.375, 0.727], [0.848, 0.848, 0.289], [0.966, 0.747, 0.733]]}

***

{"formula": "NaNb7V2O14", "functional": "r2SCAN", "state": "relaxed", "magnetic_moment_mub_per_cell": 7.85, "formation_energy_ev_per_atom": -2.503, "volume_a3_per_atom": 12.1, "e_tot_ev_per_cell": -697.2, "lattice": [[6.057, 0.000, 0.000], [-3.028, 5.245, 0.000], [0.000, 0.000, 18.224]], "species": ["Na", "Na", "Nb", "Nb", "Nb", "Nb", "Nb", "Nb", "Nb", "Nb", "Nb", "Nb", "Nb", "Nb", "Nb", "Nb", "V", "V", "V", "V", "O", "O", "O", "O", "O", "O", "O", "O", "O", "O", "O", "O", "O", "O", "O", "O", "O", "O", "O", "O", "O", "O", "O", "O", "O", "O", "O", "O"], "fractional_positions": [[0.000, 0.000, 0.250], [0.000, 0.000, 0.750], [0.154, 0.308, 0.064], [0.154, 0.308, 0.436], [0.154, 0.846, 0.064], [0.154, 0.846, 0.436], [0.308, 0.154, 0.564], [0.308, 0.154, 0.936], [0.333, 0.667, 0.250], [0.667, 0.333, 0.750], [0.692, 0.846, 0.064], [0.692, 0.846, 0.436], [0.846, 0.154, 0.564], [0.846, 0.154, 0.936], [0.846, 0.692, 0.564], [0.846, 0.692, 0.936], [0.333, 0.667, 0.678], [0.333, 0.667, 0.822], [0.667, 0.333, 0.178], [0.667, 0.333, 0.322], [0.000, 0.500, 0.000], [0.000, 0.500, 0.500], [0.030, 0.515, 0.750], [0.166, 0.332, 0.629], [0.166, 0.332, 0.871], [0.166, 0.834, 0.629], [0.166, 0.834, 0.871], [0.332, 0.166, 0.129], [0.332, 0.166, 0.371], [0.333, 0.667, 0.137], [0.333, 0.667, 0.363], [0.485, 0.515, 0.750], [0.485, 0.970, 0.750], [0.500, 0.000, 0.000], [0.500, 0.000, 0.500], [0.500, 0.500, 0.000], [0.500, 0.500, 0.500], [0.515, 0.030, 0.250], [0.515, 0.485, 0.250], [0.667, 0.333, 0.637], [0.667, 0.333, 0.863], [0.668, 0.834, 0.629], [0.668, 0.834, 0.871], [0.834, 0.166, 0.129], [0.834, 0.166, 0.371], [0.834, 0.668, 0.129], [0.834, 0.668, 0.371], [0.970, 0.485, 0.250]]}

***

{"formula": "NaNbS6", "functional": "r2SCAN", "state": "relaxed", "magnetic_moment_mub_per_cell": 0.00, "formation_energy_ev_per_atom": -0.745, "volume_a3_per_atom": 21.7, "e_tot_ev_per_cell": -164.9, "lattice": [[3.764, -6.402, 0.000], [3.764, 6.402, 0.000], [-0.943, 0.000, 7.194]], "species": ["Na", "Na", "Nb", "Nb", "S", "S", "S", "S", "S", "S", "S", "S", "S", "S", "S", "S"], "fractional_positions": [[0.170, 0.830, 0.500], [0.830, 0.170, 0.000], [0.494, 0.522, 0.753], [0.522, 0.494, 0.253], [0.169, 0.450, 0.284], [0.205, 0.595, 0.827], [0.229, 0.283, 0.468], [0.283, 0.229, 0.968], [0.450, 0.169, 0.784], [0.464, 0.742, 0.017], [0.552, 0.770, 0.511], [0.595, 0.205, 0.327], [0.742, 0.464, 0.517], [0.770, 0.552, 0.011], [0.807, 0.866, 0.700], [0.866, 0.807, 0.200]]}